# 1
# MgNb2S4Cl4 | Materials Project | GGA-PBE | relaxed
data_MgNb2S4Cl4
_symmetry_space_group_name_H-M 'P 1'
_symmetry_Int_Tables_number 1
_cell_length_a 6.113
_cell_length_b 6.573
_cell_length_c 6.708
_cell_angle_alpha 80.07
_cell_angle_beta 68.35
_cell_angle_gamma 62.35
loop_
_symmetry_equiv_pos_as_xyz
'x,y,z'
loop_
_atom_site_label
_atom_site_fract_x
_atom_site_fract_y
_atom_site_fract_z
Mg1 0.000 0.000 0.000
Nb1 0.483 0.029 0.496
Nb2 0.723 0.548 0.496
S1 0.211 0.787 0.606
S2 0.495 0.788 0.819
S3 0.712 0.790 0.173
S4 0.998 0.787 0.388
Cl1 0.037 0.338 0.742
Cl2 0.167 0.231 0.267
Cl3 0.596 0.231 0.724
Cl4 0.619 0.339 0.251
# Offset from the most stable computed form = 0.0000 eV per atom
# Total energy after the MP2020 corrections = -5.577 eV per atom
# M_tot = 0.000 μB/f.u.

---

# 2
# MgNb2S4Cl4 | Materials Project | GGA-PBE | relaxed
data_MgNb2S4Cl4
_symmetry_space_group_name_H-M 'C 1 2 1'
_symmetry_Int_Tables_number 5
_cell_length_a 5.996
_cell_length_b 11.895
_cell_length_c 6.795
_cell_angle_alpha 90.00
_cell_angle_beta 105.44
_cell_angle_gamma 90.00
loop_
_symmetry_equiv_pos_as_xyz
'x,y,z'
'-x,y,-z'
'x+1/2,y+1/2,z'
'-x+1/2,y+1/2,-z'
loop_
_atom_site_label
_atom_site_fract_x
_atom_site_fract_y
_atom_site_fract_z
Mg1 0.000 0.000 0.000
Nb1 0.000 0.307 0.500
Nb2 0.000 0.544 0.500
S1 0.120 0.425 0.807
S2 0.173 0.927 0.606
Cl1 0.130 0.148 0.266
Cl2 0.135 0.703 0.290
# Offset from the most stable computed form = 0.0220 eV per atom
# Total energy after the MP2020 corrections = -5.555 eV per atom
# M_tot = 0.003 μB/f.u.

---

# 3
# MgNb2S4Cl4 | Materials Project | GGA-PBE | relaxed
data_MgNb2S4Cl4
_symmetry_space_group_name_H-M 'C 1 m 1'
_symmetry_Int_Tables_number 8
_cell_length_a 6.288
_cell_length_b 11.632
_cell_length_c 7.418
_cell_angle_alpha 90.00
_cell_angle_beta 112.93
_cell_angle_gamma 90.00
loop_
_symmetry_equiv_pos_as_xyz
'x,y,z'
'x,-y,z'
'x+1/2,y+1/2,z'
'x+1/2,-y+1/2,z'
loop_
_atom_site_label
_atom_site_fract_x
_atom_site_fract_y
_atom_site_fract_z
Mg1 0.000 0.000 0.000
Nb1 0.277 0.124 0.679
S1 0.131 0.500 0.735
S2 0.141 0.000 0.381
S3 0.376 0.000 0.976
S4 0.414 0.500 0.529
Cl1 0.064 0.216 0.898
Cl2 0.478 0.224 0.467
# Offset from the most stable computed form = 0.0106 eV per atom
# Total energy after the MP2020 corrections = -5.566 eV per atom
# M_tot = 0.000 μB/f.u.

---

# 4
# Mg2ClO3 | Materials Project | GGA-PBE | relaxed
data_Mg2ClO3
_symmetry_space_group_name_H-M 'P -1'
_symmetry_Int_Tables_number 2
_cell_length_a 5.649
_cell_length_b 6.708
_cell_length_c 7.852
_cell_angle_alpha 76.89
_cell_angle_beta 85.49
_cell_angle_gamma 88.11
loop_
_symmetry_equiv_pos_as_xyz
'x,y,z'
'-x,-y,-z'
loop_
_atom_site_label
_atom_site_fract_x
_atom_site_fract_y
_atom_site_fract_z
Mg1 0.189 0.133 0.451
Mg2 0.254 0.579 0.480
Cl1 0.147 0.925 0.969
O1 0.047 0.407 0.351
O2 0.128 0.862 0.409
O3 0.431 0.304 0.492
# Offset from the most stable computed form = 0.2369 eV per atom
# Total energy after the MP2020 corrections = -4.862 eV per atom
# M_tot = 1.999 μB/f.u.

---

# 5
# Mg2ClO3 | Materials Project | GGA-PBE | relaxed
data_Mg2ClO3
_symmetry_space_group_name_H-M 'P n m a'
_symmetry_Int_Tables_number 62
_cell_length_a 7.472
_cell_length_b 6.513
_cell_length_c 8.586
_cell_angle_alpha 90.00
_cell_angle_beta 90.00
_cell_angle_gamma 90.00
loop_
_symmetry_equiv_pos_as_xyz
'x,y,z'
'-x,-y,-z'
'-x+1/2,-y,z+1/2'
'x+1/2,y,-z+1/2'
'x+1/2,-y+1/2,-z+1/2'
'-x+1/2,y+1/2,z+1/2'
'-x,y+1/2,-z'
'x,-y+1/2,z'
loop_
_atom_site_label
_atom_site_fract_x
_atom_site_fract_y
_atom_site_fract_z
Mg1 0.000 0.000 0.000
Mg2 0.223 0.250 0.250
Cl1 0.244 0.250 0.559
O1 0.028 0.628 0.773
O2 0.164 0.250 0.011
# Offset from the most stable computed form = 0.1698 eV per atom
# Total energy after the MP2020 corrections = -4.929 eV per atom
# M_tot = 1.000 μB/f.u.

---

# 6
# Mg2ClO3 | Materials Project | GGA-PBE | relaxed
data_Mg2ClO3
_symmetry_space_group_name_H-M 'P -1'
_symmetry_Int_Tables_number 2
_cell_length_a 3.972
_cell_length_b 7.327
_cell_length_c 7.856
_cell_angle_alpha 99.19
_cell_angle_beta 90.03
_cell_angle_gamma 90.76
loop_
_symmetry_equiv_pos_as_xyz
'x,y,z'
'-x,-y,-z'
loop_
_atom_site_label
_atom_site_fract_x
_atom_site_fract_y
_atom_site_fract_z
Mg1 0.248 0.415 0.382
Mg2 0.252 0.568 0.879
Cl1 0.406 0.873 0.541
O1 0.245 0.330 0.110
O2 0.250 0.568 0.623
O3 0.251 0.546 0.138
# Offset from the most stable computed form = 0.0000 eV per atom
# Total energy after the MP2020 corrections = -5.099 eV per atom
# M_tot = 0.001 μB/f.u.

---

# 7
# Sm2MgTi2Cl2O6 | Materials Project | GGA-PBE | relaxed
data_Sm2MgTi2Cl2O6
_symmetry_space_group_name_H-M 'C 1 2/m 1'
_symmetry_Int_Tables_number 12
_cell_length_a 11.128
_cell_length_b 3.840
_cell_length_c 9.742
_cell_angle_alpha 90.00
_cell_angle_beta 104.94
_cell_angle_gamma 90.00
loop_
_symmetry_equiv_pos_as_xyz
'x,y,z'
'-x,-y,-z'
'-x,y,-z'
'x,-y,z'
'x+1/2,y+1/2,z'
'-x+1/2,-y+1/2,-z'
'-x+1/2,y+1/2,-z'
'x+1/2,-y+1/2,z'
loop_
_atom_site_label
_atom_site_fract_x
_atom_site_fract_y
_atom_site_fract_z
Sm1 0.233 0.000 0.230
Mg1 0.000 0.500 0.000
Ti1 0.104 0.500 0.435
Cl1 0.121 0.000 0.918
O1 0.075 0.500 0.628
O2 0.123 0.500 0.192
O3 0.161 0.000 0.429
# Offset from the most stable computed form = 0.0814 eV per atom
# Total energy after the MP2020 corrections = -7.700 eV per atom
# M_tot = 2.010 μB/f.u.

---

# 8
# Sm2MgTi2Cl2O6 | Materials Project | GGA-PBE | relaxed
data_Sm2MgTi2Cl2O6
_symmetry_space_group_name_H-M 'C 1 m 1'
_symmetry_Int_Tables_number 8
_cell_length_a 9.749
_cell_length_b 4.169
_cell_length_c 10.361
_cell_angle_alpha 90.00
_cell_angle_beta 107.85
_cell_angle_gamma 90.00
loop_
_symmetry_equiv_pos_as_xyz
'x,y,z'
'x,-y,z'
'x+1/2,y+1/2,z'
'x+1/2,-y+1/2,z'
loop_
_atom_site_label
_atom_site_fract_x
_atom_site_fract_y
_atom_site_fract_z
Sm1 0.000 0.000 0.000
Sm2 0.086 0.500 0.591
Mg1 0.360 0.500 0.402
Ti1 0.137 0.000 0.332
Ti2 0.426 0.000 0.228
Cl1 0.167 0.500 0.882
Cl2 0.395 0.500 0.690
O1 0.083 0.000 0.508
O2 0.144 0.500 0.364
O3 0.200 0.000 0.174
O4 0.370 0.000 0.422
O5 0.423 0.500 0.225
O6 0.441 0.000 0.048
# Offset from the most stable computed form = 0.0000 eV per atom
# Total energy after the MP2020 corrections = -7.782 eV per atom
# M_tot = 0.520 μB/f.u.

---

# 9
# RbMgCl3 | Materials Project | GGA-PBE | relaxed
data_RbMgCl3
_symmetry_space_group_name_H-M 'P 63/m m c'
_symmetry_Int_Tables_number 194
_symmetry_space_group_name_Hall '-P 6c 2c'
_cell_length_a 7.1840
_cell_length_b 7.1840
_cell_length_c 17.7874
_cell_angle_alpha 90.00
_cell_angle_beta 90.00
_cell_angle_gamma 120.00
loop_
_atom_site_label
_atom_site_fract_x
_atom_site_fract_y
_atom_site_fract_z
Rb1 0.0000 0.0000 0.2500
Rb2 0.3333 0.6667 0.0894
Mg1 0.0000 0.0000 0.0000
Mg2 0.3333 0.6667 0.6601
Cl1 0.0172 0.5086 0.7500
Cl2 0.1660 0.3320 0.5816
# Total energy after the MP2020 corrections = -3.904 eV per atom

---

# 10
# RbMgCl3 | Materials Project | GGA-PBE | relaxed
data_RbMgCl3
_symmetry_space_group_name_H-M 'P 63/m m c'
_symmetry_Int_Tables_number 194
_symmetry_space_group_name_Hall '-P 6c 2c'
_cell_length_a 7.2062
_cell_length_b 7.2062
_cell_length_c 12.0032
_cell_angle_alpha 90.00
_cell_angle_beta 90.00
_cell_angle_gamma 120.00
loop_
_atom_site_label
_atom_site_fract_x
_atom_site_fract_y
_atom_site_fract_z
Rb1 0.0000 0.0000 0.0000
Rb2 0.3333 0.6667 0.2500
Mg1 0.3333 0.6667 0.6181
Cl1 0.0000 0.5000 0.0000
Cl2 0.1760 0.3520 0.7500
# Total energy after the MP2020 corrections = -3.909 eV per atom

---

# 11
# MgW2S2Cl8 | Materials Project | GGA-PBE | relaxed
data_MgW2S2Cl8
_symmetry_space_group_name_H-M 'P 1'
_symmetry_Int_Tables_number 1
_cell_length_a 6.169
_cell_length_b 7.934
_cell_length_c 8.795
_cell_angle_alpha 91.42
_cell_angle_beta 99.87
_cell_angle_gamma 96.94
loop_
_symmetry_equiv_pos_as_xyz
'x,y,z'
loop_
_atom_site_label
_atom_site_fract_x
_atom_site_fract_y
_atom_site_fract_z
Mg1 0.000 0.000 0.000
W1 0.342 0.206 0.774
W2 0.659 0.783 0.219
S1 0.138 0.965 0.727
S2 0.863 0.024 0.273
Cl1 0.150 0.430 0.718
Cl2 0.275 0.248 0.044
Cl3 0.288 0.792 0.099
Cl4 0.477 0.233 0.547
Cl5 0.528 0.742 0.446
Cl6 0.713 0.205 0.899
Cl7 0.725 0.751 0.948
Cl8 0.853 0.559 0.266
# Offset from the most stable computed form = 0.0299 eV per atom
# Total energy after the MP2020 corrections = -5.218 eV per atom
# M_tot = 1.985 μB/f.u.

---

# 12
# MgW2S2Cl8 | Materials Project | GGA-PBE | relaxed
data_MgW2S2Cl8
_symmetry_space_group_name_H-M 'P 1'
_symmetry_Int_Tables_number 1
_cell_length_a 6.539
_cell_length_b 7.707
_cell_length_c 8.284
_cell_angle_alpha 97.13
_cell_angle_beta 95.60
_cell_angle_gamma 97.48
loop_
_symmetry_equiv_pos_as_xyz
'x,y,z'
loop_
_atom_site_label
_atom_site_fract_x
_atom_site_fract_y
_atom_site_fract_z
Mg1 0.000 0.000 0.000
W1 0.076 0.388 0.776
W2 0.444 0.819 0.288
S1 0.632 0.911 0.510
S2 0.875 0.353 0.557
Cl1 0.046 0.685 0.895
Cl2 0.125 0.713 0.360
Cl3 0.184 0.102 0.772
Cl4 0.277 0.073 0.222
Cl5 0.401 0.493 0.721
Cl6 0.502 0.534 0.213
Cl7 0.652 0.898 0.069
Cl8 0.888 0.297 0.992
# Offset from the most stable computed form = 0.0078 eV per atom
# Total energy after the MP2020 corrections = -5.241 eV per atom
# M_tot = 2.000 μB/f.u.

---

# 13
# MgW2S2Cl8 | Materials Project | GGA-PBE | relaxed
data_MgW2S2Cl8
_symmetry_space_group_name_H-M 'P 1'
_symmetry_Int_Tables_number 1
_cell_length_a 6.471
_cell_length_b 7.258
_cell_length_c 8.342
_cell_angle_alpha 77.25
_cell_angle_beta 71.70
_cell_angle_gamma 88.62
loop_
_symmetry_equiv_pos_as_xyz
'x,y,z'
loop_
_atom_site_label
_atom_site_fract_x
_atom_site_fract_y
_atom_site_fract_z
Mg1 0.000 0.000 0.000
W1 0.107 0.626 0.761
W2 0.379 0.157 0.327
S1 0.547 0.421 0.251
S2 0.917 0.365 0.857
Cl1 0.020 0.226 0.420
Cl2 0.120 0.715 0.473
Cl3 0.176 0.692 0.011
Cl4 0.322 0.117 0.062
Cl5 0.379 0.051 0.614
Cl6 0.460 0.542 0.674
Cl7 0.683 0.945 0.258
Cl8 0.844 0.867 0.812
# Offset from the most stable computed form = 0.0129 eV per atom
# Total energy after the MP2020 corrections = -5.235 eV per atom
# M_tot = 2.001 μB/f.u.

---

# 14
# MgW2S2Cl8 | Materials Project | GGA-PBE | relaxed
data_MgW2S2Cl8
_symmetry_space_group_name_H-M 'P 1'
_symmetry_Int_Tables_number 1
_cell_length_a 7.375
_cell_length_b 7.550
_cell_length_c 7.789
_cell_angle_alpha 77.35
_cell_angle_beta 82.14
_cell_angle_gamma 79.56
loop_
_symmetry_equiv_pos_as_xyz
'x,y,z'
loop_
_atom_site_label
_atom_site_fract_x
_atom_site_fract_y
_atom_site_fract_z
Mg1 0.000 0.000 0.000
W1 0.208 0.032 0.387
W2 0.921 0.550 0.990
S1 0.390 0.783 0.441
S2 0.712 0.787 0.954
Cl1 0.037 0.065 0.665
Cl2 0.074 0.511 0.721
Cl3 0.182 0.686 0.022
Cl4 0.263 0.125 0.069
Cl5 0.378 0.251 0.407
Cl6 0.767 0.297 0.972
Cl7 0.911 0.431 0.292
Cl8 0.927 0.946 0.325
# Offset from the most stable computed form = 0.0000 eV per atom
# Total energy after the MP2020 corrections = -5.248 eV per atom
# M_tot = 2.000 μB/f.u.

---

# 15
# Na6MnCl8 | Materials Project | GGA-PBE | relaxed
data_Na6MnCl8
_symmetry_space_group_name_H-M 'F m -3 m'
_symmetry_Int_Tables_number 225
_symmetry_space_group_name_Hall '-F 4 2 3'
_cell_length_a 11.328
_cell_length_b 11.328
_cell_length_c 11.328
_cell_angle_alpha 90.00
_cell_angle_beta 90.00
_cell_angle_gamma 90.00
loop_
_atom_site_label
_atom_site_fract_x
_atom_site_fract_y
_atom_site_fract_z
Na1 0.000 0.250 0.250
Mn1 0.000 0.000 0.000
Cl1 0.000 0.000 0.227
Cl2 0.250 0.250 0.250
# Total energy after the MP2020 corrections = -4.121 eV per atom

---

# 16
# Rb3Mn2Cl7 | Materials Project | GGA-PBE | relaxed
data_Rb3Mn2Cl7
_symmetry_space_group_name_H-M 'I 4/m m m'
_symmetry_Int_Tables_number 139
_symmetry_space_group_name_Hall '-I 4 2'
_cell_length_a 5.100
_cell_length_b 5.100
_cell_length_c 26.451
_cell_angle_alpha 90.00
_cell_angle_beta 90.00
_cell_angle_gamma 90.00
loop_
_atom_site_label
_atom_site_fract_x
_atom_site_fract_y
_atom_site_fract_z
Rb1 0.000 0.000 0.000
Rb2 0.000 0.000 0.183
Mn1 0.000 0.000 0.402
Cl1 0.000 0.000 0.307
Cl2 0.000 0.000 0.500
Cl3 0.000 0.500 0.096
# Offset from the most stable computed form = 0.0000 eV per atom
# Total energy after the MP2020 corrections = -4.749 eV per atom

---

# 17
# Rb3Mn2Cl7 | Materials Project | GGA-PBE | relaxed
data_Rb3Mn2Cl7
_symmetry_space_group_name_H-M 'I 4/m m m'
_symmetry_Int_Tables_number 139
_symmetry_space_group_name_Hall '-I 4 2'
_cell_length_a 4.850
_cell_length_b 4.850
_cell_length_c 35.478
_cell_angle_alpha 90.00
_cell_angle_beta 90.00
_cell_angle_gamma 90.00
loop_
_atom_site_label
_atom_site_fract_x
_atom_site_fract_y
_atom_site_fract_z
Rb1 0.000 0.000 0.000
Rb2 0.000 0.000 0.323
Mn1 0.000 0.000 0.124
Cl1 0.000 0.000 0.192
Cl2 0.000 0.000 0.500
Cl3 0.000 0.500 0.110
# Offset from the most stable computed form = 0.1094 eV per atom
# Total energy after the MP2020 corrections = -4.639 eV per atom
# M_tot = 10.001 μB/f.u.

---

# 18
# Rb2MnCl6 | Materials Project | GGA-PBE | relaxed
data_Rb2MnCl6
_symmetry_space_group_name_H-M 'F m -3 m'
_symmetry_Int_Tables_number 225
_symmetry_space_group_name_Hall '-F 4 2 3'
_cell_length_a 10.159
_cell_length_b 10.159
_cell_length_c 10.159
_cell_angle_alpha 90.00
_cell_angle_beta 90.00
_cell_angle_gamma 90.00
loop_
_atom_site_label
_atom_site_fract_x
_atom_site_fract_y
_atom_site_fract_z
Rb1 0.250 0.250 0.250
Mn1 0.000 0.000 0.000
Cl1 0.000 0.000 0.226
# Total energy after the MP2020 corrections = -4.308 eV per atom

---

# 19
# Rb2MnCl4 | Materials Project | GGA-PBE | relaxed
data_Rb2MnCl4
_symmetry_space_group_name_H-M 'I 4/m m m'
_symmetry_Int_Tables_number 139
_symmetry_space_group_name_Hall '-I 4 2'
_cell_length_a 5.110
_cell_length_b 5.110
_cell_length_c 16.293
_cell_angle_alpha 90.00
_cell_angle_beta 90.00
_cell_angle_gamma 90.00
loop_
_atom_site_label
_atom_site_fract_x
_atom_site_fract_y
_atom_site_fract_z
Rb1 0.000 0.000 0.142
Mn1 0.000 0.000 0.500
Cl1 0.000 0.000 0.344
Cl2 0.000 0.500 0.000
# Total energy after the MP2020 corrections = -4.599 eV per atom

---

| no. | formation energy (eV per atom) |
| --- | --- |
| 1 | -1.418 |
| 2 | -1.396 |
| 3 | -1.408 |
| 4 | -1.547 |
| 5 | -1.614 |
| 6 | -1.784 |
| 7 | -3.068 |
| 8 | -3.150 |
| 9 | -2.279 |
| 10 | -2.283 |
| 11 | -1.328 |
| 12 | -1.350 |
| 13 | -1.345 |
| 14 | -1.358 |
| 15 | -1.996 |
| 16 | -1.898 |
| 17 | -1.789 |
| 18 | -1.840 |
| 19 | -1.954 |